No. 1
{
  "formula": "K3Al3Si3W4O12",
  "functional": "PBE with a Hubbard U",
  "state": "relaxed",
  "total_magnetization_mub_per_cell": 36.0,
  "formation_energy_ev_per_atom": -1.6872,
  "space_group": "No. 1",
  "mass_density_g_cm3": 4.62,
  "corrected_energy_ev_per_cell": -368.46,
  "volume_a3_per_fu": 434.4,
  "cell": [[9.454, 0.000, 0.000], [0.116, 9.555, 0.000], [0.133, 0.043, 9.617]],
  "species": ["O", "O", "O", "O", "O", "O", "O", "O", "O", "O", "O", "O", "O", "O", "O", "O", "O", "O", "O", "O", "O", "O", "O", "O", "Si", "Si", "Si", "Si", "Si", "Si", "Al", "Al", "Al", "Al", "Al", "Al", "W", "W", "W", "W", "W", "W", "W", "W", "K", "K", "K", "K", "K", "K"],
  "fractional_positions": [[0.961, 0.014, 0.305], [0.836, 0.870, 0.512], [0.805, 0.878, 0.825], [0.620, 0.365, 0.012], [0.320, 0.381, 0.299], [0.973, 0.008, 0.000], [0.836, 0.234, 0.135], [0.122, 0.876, 0.490], [0.448, 0.212, 0.509], [0.961, 0.722, 0.000], [0.139, 0.216, 0.180], [0.474, 0.516, 0.508], [0.469, 0.201, 0.796], [0.090, 0.851, 0.788], [0.328, 0.010, 0.667], [0.960, 0.733, 0.304], [0.629, 0.334, 0.299], [0.326, 0.708, 0.648], [0.804, 0.515, 0.162], [0.611, 0.014, 0.634], [0.469, 0.506, 0.789], [0.612, 0.711, 0.657], [0.109, 0.503, 0.158], [0.317, 0.374, 0.016], [0.721, 0.362, 0.151], [0.470, 0.113, 0.645], [0.472, 0.610, 0.650], [0.965, 0.866, 0.905], [0.222, 0.371, 0.160], [0.972, 0.877, 0.405], [0.472, 0.365, 0.403], [0.466, 0.361, 0.906], [0.962, 0.618, 0.151], [0.718, 0.862, 0.657], [0.214, 0.859, 0.649], [0.977, 0.115, 0.151], [0.322, 0.057, 0.197], [0.375, 0.766, 0.105], [0.834, 0.580, 0.432], [0.109, 0.226, 0.836], [0.350, 0.018, 0.902], [0.786, 0.267, 0.485], [0.956, 0.451, 0.678], [0.630, 0.912, 0.004], [0.717, 0.599, 0.898], [0.149, 0.189, 0.482], [0.224, 0.622, 0.403], [0.195, 0.592, 0.875], [0.642, 0.983, 0.343], [0.767, 0.178, 0.846]]
}

=====

No. 2
{
  "formula": "FeP3H5NO10",
  "functional": "PBE with a Hubbard U",
  "state": "relaxed",
  "total_magnetization_mub_per_cell": 10.0,
  "formation_energy_ev_per_atom": -1.9366,
  "space_group": "No. 15",
  "mass_density_g_cm3": 2.38,
  "corrected_energy_ev_per_cell": -276.44,
  "volume_a3_per_fu": 228.7,
  "cell": [[4.275, 6.107, 0.000], [-4.275, 6.107, 0.000], [0.000, 3.592, 8.758]],
  "species": ["H", "H", "H", "H", "H", "H", "H", "H", "H", "H", "O", "O", "O", "O", "O", "O", "O", "O", "O", "O", "O", "O", "O", "O", "O", "O", "O", "O", "O", "O", "Fe", "Fe", "P", "P", "P", "P", "P", "P", "N", "N"],
  "fractional_positions": [[0.566, 0.510, 0.656], [0.547, 0.321, 0.241], [0.500, 0.000, 0.500], [0.490, 0.434, 0.844], [0.321, 0.547, 0.741], [0.000, 0.500, 0.000], [0.453, 0.679, 0.759], [0.510, 0.566, 0.156], [0.434, 0.490, 0.344], [0.679, 0.453, 0.259], [0.026, 0.614, 0.878], [0.654, 0.769, 0.902], [0.627, 0.856, 0.176], [0.855, 0.291, 0.610], [0.144, 0.373, 0.324], [0.373, 0.144, 0.824], [0.346, 0.231, 0.098], [0.231, 0.346, 0.598], [0.974, 0.386, 0.122], [0.769, 0.654, 0.402], [0.709, 0.145, 0.890], [0.291, 0.855, 0.110], [0.094, 0.069, 0.303], [0.145, 0.709, 0.390], [0.386, 0.974, 0.622], [0.069, 0.094, 0.803], [0.856, 0.627, 0.676], [0.906, 0.931, 0.697], [0.931, 0.906, 0.197], [0.614, 0.026, 0.378], [0.000, 0.500, 0.500], [0.500, 0.000, 0.000], [0.876, 0.124, 0.750], [0.278, 0.143, 0.705], [0.857, 0.722, 0.795], [0.124, 0.876, 0.250], [0.143, 0.278, 0.205], [0.722, 0.857, 0.295], [0.456, 0.544, 0.750], [0.544, 0.456, 0.250]]
}

=====

No. 3
{
  "formula": "Al2W5O16",
  "functional": "PBE with a Hubbard U",
  "state": "relaxed",
  "total_magnetization_mub_per_cell": 3.8,
  "formation_energy_ev_per_atom": -2.2690,
  "space_group": "No. 139",
  "mass_density_g_cm3": 6.53,
  "corrected_energy_ev_per_cell": -203.64,
  "volume_a3_per_fu": 312.7,
  "cell": [[1.009, -14.741, 14.660], [4.155, -10.991, 17.180], [-4.815, 13.922, -14.704]],
  "species": ["O", "O", "O", "O", "O", "O", "O", "O", "O", "O", "O", "O", "O", "O", "O", "O", "Al", "Al", "W", "W", "W", "W", "W"],
  "fractional_positions": [[0.096, 0.596, 0.500], [0.246, 0.246, 0.000], [0.048, 0.048, 0.000], [0.596, 0.096, 0.500], [0.705, 0.205, 0.500], [0.500, 0.000, 0.500], [0.904, 0.404, 0.500], [0.754, 0.754, 0.000], [0.295, 0.795, 0.500], [0.952, 0.952, 0.000], [0.795, 0.295, 0.500], [0.404, 0.904, 0.500], [0.144, 0.144, 0.000], [0.205, 0.705, 0.500], [0.000, 0.500, 0.500], [0.856, 0.856, 0.000], [0.250, 0.750, 0.500], [0.750, 0.250, 0.500], [0.189, 0.189, 0.000], [0.092, 0.092, 0.000], [0.908, 0.908, 0.000], [0.811, 0.811, 0.000], [0.000, 0.000, 0.000]]
}

=====

No. 4
{
  "formula": "SmWO5",
  "functional": "PBE with a Hubbard U",
  "state": "relaxed",
  "total_magnetization_mub_per_cell": 4.0,
  "formation_energy_ev_per_atom": -2.5958,
  "space_group": "No. 14",
  "mass_density_g_cm3": 6.17,
  "corrected_energy_ev_per_cell": -242.35,
  "volume_a3_per_fu": 111.5,
  "cell": [[13.033, 0.000, 0.000], [0.000, 5.364, 0.000], [0.000, 3.211, 6.379]],
  "species": ["O", "O", "O", "O", "O", "O", "O", "O", "O", "O", "O", "O", "O", "O", "O", "O", "O", "O", "O", "O", "W", "W", "W", "W", "Sm", "Sm", "Sm", "Sm"],
  "fractional_positions": [[0.070, 0.997, 0.660], [0.147, 0.771, 0.069], [0.773, 0.794, 0.706], [0.353, 0.771, 0.569], [0.227, 0.206, 0.294], [0.909, 0.533, 0.426], [0.433, 0.296, 0.473], [0.647, 0.229, 0.431], [0.933, 0.704, 0.027], [0.409, 0.467, 0.074], [0.930, 0.003, 0.340], [0.853, 0.229, 0.931], [0.430, 0.997, 0.160], [0.273, 0.206, 0.794], [0.091, 0.467, 0.574], [0.067, 0.296, 0.973], [0.591, 0.533, 0.926], [0.727, 0.794, 0.206], [0.567, 0.704, 0.527], [0.570, 0.003, 0.840], [0.139, 0.114, 0.845], [0.361, 0.114, 0.345], [0.639, 0.886, 0.655], [0.861, 0.886, 0.155], [0.057, 0.365, 0.283], [0.443, 0.365, 0.783], [0.943, 0.635, 0.717], [0.557, 0.635, 0.217]]
}